RbMoO3: relaxed, PBE+U.

Results
As for the formation energy: -1953 meV/atom. The mass density is 5.72 g/cm³. Its total magnetic moment is 1.0 μB/cell.

a = 4.053 Å, b = 4.053 Å, c = 4.053 Å
α = 90.00°, β = 90.00°, γ = 90.00°
Space group Pm-3m (No. 221)
Symmetry-distinct sites (fractional):
Rb1 0.000 0.000 0.000 x1
Mo1 0.500 0.500 0.500 x1
O1 0.000 0.500 0.500 x3

---

Rb2Mo3O10: relaxed, PBE+U.

Results
As for the formation energy: -2109 meV/atom. The mass density is 3.63 g/cm³.

a = 14.586 Å, b = 8.376 Å, c = 9.368 Å
α = 90.00°, β = 97.91°, γ = 90.00°
Space group C2/c (No. 15)
Symmetry-distinct sites (fractional):
Rb1 0.181 0.088 0.159 x8
Mo1 0.000 0.214 0.750 x4
Mo2 0.106 0.428 0.522 x8
O1 0.025 0.419 0.907 x8
O2 0.052 0.084 0.882 x8
O3 0.118 0.274 0.679 x8
O4 0.139 0.311 0.383 x8
O5 0.199 0.444 0.080 x8

---

Rb2MoS2O2: relaxed, PBE+U.

Results
As for the formation energy: -1591 meV/atom. The mass density is 3.12 g/cm³. Its total magnetic moment is 0.0 μB/cell.

a = 6.905 Å, b = 8.729 Å, c = 14.162 Å
α = 90.00°, β = 115.26°, γ = 90.00°
Space group P2_1/c (No. 14)
Symmetry-distinct sites (fractional):
Rb1 0.150 0.019 0.300 x4
Rb2 0.334 0.688 0.552 x4
Mo1 0.276 0.212 0.585 x4
S1 0.146 0.160 0.932 x4
S2 0.430 0.666 0.303 x4
O1 0.079 0.210 0.634 x4
O2 0.344 0.025 0.561 x4